Entry a
Entry from Materials Project: CaYMn2O6 after structural relaxation (PBE with a Hubbard U).

Cell lengths 5.3547, 5.5537, 7.5773 Å; angles 90.00, 90.00, 89.98 degrees
Positions (direct):
Ca 0.5113 0.5531 0.2500
Ca 0.0113 0.9470 0.7500
Y 0.9837 0.0635 0.2500
Y 0.4837 0.4365 0.7500
Mn 0.9994 0.5038 0.0001
Mn 0.4995 0.9962 0.5001
Mn 0.9994 0.5038 0.4999
Mn 0.4995 0.9962 0.9999
O 0.8028 0.8022 0.0498
O 0.7079 0.2910 0.4534
O 0.2078 0.2090 0.5466
O 0.3026 0.6978 0.9502
O 0.2078 0.2090 0.9534
O 0.3026 0.6978 0.5498
O 0.8028 0.8021 0.4502
O 0.7079 0.2910 0.0466
O 0.3993 0.9737 0.2500
O 0.0857 0.4684 0.2500
O 0.5857 0.0316 0.7500
O 0.8993 0.5263 0.7500

***

Entry b
Entry from Materials Project: CaYMn2O6 after structural relaxation (PBE with a Hubbard U).

Cell lengths 5.2380, 5.4246, 7.9344 Å; angles 90.00, 90.43, 90.00 degrees
Positions (direct):
Ca 0.5141 0.5515 0.2488
Ca 0.0141 0.9485 0.7487
Y 0.9816 0.0594 0.2520
Y 0.4816 0.4406 0.7520
Mn 0.5001 0.9990 0.5002
Mn 0.5011 0.9961 0.9998
Mn 0.0001 0.5010 0.0002
Mn 0.0010 0.5038 0.5000
O 0.4004 0.9760 0.2634
O 0.9003 0.5241 0.7634
O 0.0828 0.4703 0.2365
O 0.5829 0.0297 0.7365
O 0.8052 0.7984 0.0530
O 0.3015 0.6975 0.9507
O 0.3053 0.7016 0.5530
O 0.8015 0.8025 0.4507
O 0.7058 0.2896 0.4487
O 0.2075 0.2088 0.5468
O 0.2057 0.2103 0.9487
O 0.7074 0.2912 0.0468

***

Most stable: entry a (next structure +0.011 eV/atom)

***

Entry a
Entry from Materials Project: CaMo2O5 after structural relaxation (PBE with a Hubbard U).

Cell lengths 3.5829, 5.2593, 13.0177 Å; angles 90.00, 90.00, 90.00 degrees
Positions (direct):
Ca 0.5000 0.5542 0.0000
Ca 0.0000 0.4458 0.5000
Mo 0.0000 0.0347 0.8560
Mo 0.5000 0.9653 0.6440
Mo 0.5000 0.9653 0.3560
Mo 0.0000 0.0347 0.1440
O 0.5000 0.1315 0.5000
O 0.0000 0.8685 0.0000
O 0.5000 0.8892 0.8168
O 0.0000 0.1108 0.6832
O 0.5000 0.8892 0.1832
O 0.0000 0.1108 0.3168
O 0.0000 0.3750 0.1088
O 0.5000 0.6250 0.3912
O 0.5000 0.6250 0.6088
O 0.0000 0.3750 0.8912

***

Entry b
Entry from Materials Project: CaMo2O5 after structural relaxation (PBE with a Hubbard U).

Cell lengths 4.2552, 5.8787, 11.6053 Å; angles 90.00, 90.00, 111.22 degrees
Positions (direct):
Ca 0.8964 0.7928 0.7500
Ca 0.1036 0.2072 0.2500
Mo 0.2059 0.4117 0.5947
Mo 0.7941 0.5883 0.4053
Mo 0.7941 0.5883 0.0947
Mo 0.2059 0.4117 0.9053
O 0.7014 0.4028 0.2500
O 0.2986 0.5972 0.7500
O 0.2550 0.5100 0.0750
O 0.7450 0.4900 0.9250
O 0.7450 0.4900 0.5750
O 0.2550 0.5100 0.4250
O 0.0423 0.0846 0.6191
O 0.9577 0.9154 0.3809
O 0.0423 0.0846 0.8809
O 0.9577 0.9154 0.1191

***

Most stable: entry a (next structure +0.038 eV/atom)